Entry 1:
# Eu3GaP3, relaxed, DFT PBE
# Crystal system: orthorhombic
# Energy of formation (eV per formula unit): -7.246
data_Eu3GaP3
_cell_length_a 18.431
_cell_length_b 6.258
_cell_length_c 12.176
_cell_angle_alpha 90.00
_cell_angle_beta 90.00
_cell_angle_gamma 90.00
_space_group_name_H-M_alt 'C m c e'
_space_group_IT_number 64
_space_group_name_Hall '-C 2ac 2'
loop_
_atom_site_label
_atom_site_type_symbol
_atom_site_fract_x
_atom_site_fract_y
_atom_site_fract_z
Eu1 Eu 0.000 0.180 0.148
Eu2 Eu 0.177 0.190 0.869
Ga1 Ga 0.087 0.000 0.500
P1 P 0.000 0.215 0.393
P2 P 0.161 0.212 0.623

Entry 2:
# EuGa3Pd, relaxed, DFT PBE
# Crystal system: orthorhombic
# Energy of formation (eV per formula unit): -3.314
data_EuGa3Pd
_cell_length_a 6.432
_cell_length_b 10.477
_cell_length_c 5.932
_cell_angle_alpha 90.00
_cell_angle_beta 90.00
_cell_angle_gamma 90.00
_space_group_name_H-M_alt 'C m c m'
_space_group_IT_number 63
_space_group_name_Hall '-C 2c 2'
loop_
_atom_site_label
_atom_site_type_symbol
_atom_site_fract_x
_atom_site_fract_y
_atom_site_fract_z
Eu1 Eu 0.000 0.234 0.250
Ga1 Ga 0.000 0.336 0.750
Ga2 Ga 0.215 0.500 0.000
Pd1 Pd 0.000 0.097 0.750

Entry 3:
# EuGa8Rh2, relaxed, DFT PBE
# Crystal system: orthorhombic
# Energy of formation (eV per formula unit): -5.780
data_EuGa8Rh2
_cell_length_a 12.739
_cell_length_b 14.713
_cell_length_c 4.167
_cell_angle_alpha 90.00
_cell_angle_beta 90.00
_cell_angle_gamma 90.00
_space_group_name_H-M_alt 'P b a m'
_space_group_IT_number 55
loop_
_space_group_symop_operation_xyz
'x,y,z'
'-x,-y,-z'
'-x,-y,z'
'x,y,-z'
'x+1/2,-y+1/2,-z'
'-x+1/2,y+1/2,z'
'-x+1/2,y+1/2,-z'
'x+1/2,-y+1/2,z'
loop_
_atom_site_label
_atom_site_type_symbol
_atom_site_fract_x
_atom_site_fract_y
_atom_site_fract_z
Eu1 Eu 0.158 0.181 0.000
Ga1 Ga 0.000 0.000 0.000
Ga2 Ga 0.000 0.500 0.500
Ga3 Ga 0.021 0.867 0.500
Ga4 Ga 0.050 0.315 0.500
Ga5 Ga 0.099 0.749 0.000
Ga6 Ga 0.160 0.457 0.000
Ga7 Ga 0.166 0.623 0.500
Ga8 Ga 0.170 0.013 0.500
Ga9 Ga 0.241 0.824 0.500
Rh1 Rh 0.035 0.596 0.000
Rh2 Rh 0.155 0.905 0.000

Entry 4:
# EuGa2S4, relaxed, DFT PBE
# Crystal system: orthorhombic
# Energy of formation (eV per formula unit): -10.029
data_EuGa2S4
_cell_length_a 12.337
_cell_length_b 20.559
_cell_length_c 20.834
_cell_angle_alpha 90.00
_cell_angle_beta 90.00
_cell_angle_gamma 90.00
_space_group_name_H-M_alt 'F d d d'
_space_group_IT_number 70
loop_
_space_group_symop_operation_xyz
'x,y,z'
'-x,-y,-z'
'-x+1/4,-y+1/4,z'
'x+1/4,y+1/4,-z'
'x,-y+1/4,-z+1/4'
'-x,y+1/4,z+1/4'
'-x+1/4,y,-z+1/4'
'x+1/4,-y,z+1/4'
'x,y+1/2,z+1/2'
'-x,-y+1/2,-z+1/2'
'-x+1/4,-y+3/4,z+1/2'
'x+1/4,y+3/4,-z+1/2'
'x,-y+3/4,-z+3/4'
'-x,y+3/4,z+3/4'
'-x+1/4,y+1/2,-z+3/4'
'x+1/4,-y+1/2,z+3/4'
'x+1/2,y,z+1/2'
'-x+1/2,-y,-z+1/2'
'-x+3/4,-y+1/4,z+1/2'
'x+3/4,y+1/4,-z+1/2'
'x+1/2,-y+1/4,-z+3/4'
'-x+1/2,y+1/4,z+3/4'
'-x+3/4,y,-z+3/4'
'x+3/4,-y,z+3/4'
'x+1/2,y+1/2,z'
'-x+1/2,-y+1/2,-z'
'-x+3/4,-y+3/4,z'
'x+3/4,y+3/4,-z'
'x+1/2,-y+3/4,-z+1/4'
'-x+1/2,y+3/4,z+1/4'
'-x+3/4,y+1/2,-z+1/4'
'x+3/4,-y+1/2,z+1/4'
loop_
_atom_site_label
_atom_site_type_symbol
_atom_site_fract_x
_atom_site_fract_y
_atom_site_fract_z
Eu1 Eu 0.125 0.125 0.125
Eu2 Eu 0.125 0.125 0.373
Eu3 Eu 0.125 0.125 0.625
Ga1 Ga 0.087 0.304 0.250
Ga2 Ga 0.123 0.263 0.751
S1 S 0.001 0.000 0.583
S2 S 0.001 0.000 0.916
S3 S 0.004 0.345 0.499
S4 S 0.016 0.079 0.751